Entry 1:
64
Lattice="-2.421 -8.505 1.403 6.115 -1.066 4.093 -1.864 2.526 12.097" Properties=species:S:1:pos:R:3 comment="CrP3H2O10, optimized geometry, DFT PBE with a Hubbard U" delta_e_f_ev_per_atom=-2.3713 m_tot_mub_per_fu=3.0 vol_a3_per_atom=12.0 pbc="T T T"
P -1.443 -6.014 12.312
P 1.630 -2.270 11.742
P -0.329 1.204 13.237
P 2.159 -8.249 4.356
P 2.672 -2.150 14.513
P -0.056 -2.375 7.571
P 0.201 -4.775 5.850
P 1.887 -4.670 10.022
P 4.337 -0.838 8.040
P 3.274 -1.031 5.281
P -2.506 -6.207 9.553
P -0.841 -4.895 3.080
H 1.547 -6.254 11.480
H 2.806 -6.366 5.242
H -0.976 -0.679 12.351
H -1.629 -3.387 13.534
H 3.460 -3.658 4.059
H 0.284 -0.791 6.113
H -1.204 -6.430 7.779
H 3.035 -0.615 9.814
O 0.390 -4.585 9.803
O -1.370 -4.514 12.114
O 1.848 -2.767 13.239
O -0.524 -6.079 6.115
O -1.559 -6.153 3.518
O -2.586 -2.192 10.977
O 3.193 -7.190 4.865
O -0.546 -3.686 6.734
O -2.011 -6.748 11.018
O 0.843 -0.554 2.228
O 1.012 0.569 13.547
O -1.362 0.145 12.728
O 4.267 -2.350 8.058
O 3.201 -2.531 5.479
O 0.819 -7.614 4.046
O 3.842 -0.297 6.574
O -1.449 -6.895 8.620
O 1.970 -0.378 4.881
O -0.140 -6.667 12.711
O 1.495 -1.882 15.516
O -2.852 -7.661 5.622
O 2.268 -5.902 10.909
O 4.417 -4.853 6.616
O 3.390 -0.892 14.075
O -2.436 -4.695 9.534
O 3.280 -0.150 8.973
O -0.437 -1.143 6.684
O 2.780 -4.731 8.818
O -0.017 -4.278 4.354
O -2.566 -6.244 13.413
O 4.397 -0.801 4.180
O 2.355 -0.966 11.478
O 0.336 -5.162 2.077
O -0.949 -2.314 8.775
O 1.683 -4.800 6.146
O 4.683 0.616 11.971
O 0.148 -2.245 11.446
O 0.987 -6.491 15.365
O 1.441 -2.460 7.790
O 2.377 -3.359 10.859
Cr -1.144 -3.429 10.403
Cr 2.974 -3.616 7.190
Cr 2.864 0.532 12.762
Cr -1.033 -7.577 4.831

Entry 2:
32
Lattice="-6.686 -3.692 -0.107 3.641 -4.965 -4.522 2.423 -3.081 6.557" Properties=species:S:1:pos:R:3 comment="Rb3CrH6O6, optimized geometry, DFT PBE with a Hubbard U" delta_e_f_ev_per_atom=-1.6072 m_tot_mub_per_fu=3.0 vol_a3_per_atom=13.7 pbc="T T T"
O -0.497 -6.780 2.800
O -1.749 -4.487 1.473
O -5.439 -4.780 1.117
O 4.817 -6.958 0.811
O -2.653 -5.766 5.656
O -0.126 -4.958 -0.872
O 2.597 -4.548 5.124
O 1.130 -4.601 1.707
O -1.752 -7.137 0.222
O 1.126 -7.251 0.456
O -3.219 -7.190 -3.196
O 2.031 -5.971 -3.728
H 0.890 -9.829 1.485
H 0.625 -8.080 0.360
H -1.109 -9.497 2.861
H -1.330 -9.881 0.452
H 1.142 -3.867 1.068
H -1.513 -1.909 0.443
H 0.487 -2.241 -0.933
H -1.248 -3.658 1.568
H -0.113 -7.663 2.659
H -0.509 -4.075 -0.730
H -1.764 -7.871 0.860
H 0.708 -1.857 1.477
Rb -3.416 -6.397 2.881
Rb -0.399 -7.421 -2.379
Rb -0.223 -4.317 4.307
Rb 2.726 -6.724 2.872
Rb -3.348 -5.014 -0.944
Rb 2.793 -5.341 -0.953
Cr -0.311 -5.869 0.964
Cr 0.000 0.000 0.000

Entry 3:
32
Lattice="5.948 -5.512 0.000 5.948 5.512 0.000 0.840 0.000 8.066" Properties=species:S:1:pos:R:3 comment="Rb3CrH6O6, optimized geometry, DFT PBE with a Hubbard U" delta_e_f_ev_per_atom=-0.8073 m_tot_mub_per_fu=3.0 vol_a3_per_atom=16.5 pbc="T T T"
H 3.531 0.768 0.765
H 2.177 0.693 2.902
H 10.558 -0.693 5.164
H 2.889 -1.461 1.778
H 3.479 -1.461 2.255
H 9.899 -0.768 4.797
H 2.837 0.768 3.268
H 9.257 1.461 5.811
H 9.847 1.461 6.287
H 8.545 -0.693 6.935
H 4.190 0.693 1.131
H 9.204 -0.768 7.301
O 10.395 -0.935 0.432
O 6.945 4.033 0.364
O 2.341 0.935 7.634
O 6.498 -0.544 5.765
O 5.791 -4.033 7.702
O 6.238 0.544 2.301
O 7.364 1.479 4.397
O 6.657 4.968 6.334
O 7.869 -0.935 3.601
O 6.078 -4.968 1.732
O 4.867 0.935 4.465
O 5.371 -1.479 3.669
Rb 3.604 -1.195 6.049
Rb 6.711 -2.159 1.142
Rb 5.604 3.353 2.890
Rb 7.131 -3.353 5.175
Rb 6.024 2.159 6.923
Rb 9.132 1.195 2.016
Cr 6.368 0.000 4.033
Cr 0.000 0.000 0.000

Entry 4:
132
Lattice="10.575 0.000 0.000 0.000 7.364 0.000 0.000 5.599 16.108" Properties=species:S:1:pos:R:3 comment="CrH15S2O15, optimized geometry, DFT PBE with a Hubbard U" delta_e_f_ev_per_atom=-1.5136 m_tot_mub_per_fu=3.0 vol_a3_per_atom=9.5 pbc="T T T"
O 9.401 9.155 7.760
O 1.091 11.307 14.063
O 3.200 11.787 15.221
O 5.810 4.793 1.947
O 7.576 5.640 3.407
O 3.346 6.977 2.684
O 1.088 6.376 0.309
O 6.379 4.455 10.099
O 2.289 4.523 4.647
O 3.704 4.178 9.476
O 1.707 6.241 9.573
O 5.398 1.619 2.737
O 10.052 7.593 10.001
O 4.765 8.169 14.161
O 1.900 9.783 15.768
O 4.200 9.175 8.363
O 0.111 8.544 5.317
O 8.675 3.179 0.340
O 8.991 11.584 14.686
O 6.462 11.954 15.814
O 8.634 3.186 5.370
O 0.523 5.370 6.107
O 2.864 2.118 3.946
O 4.113 1.008 0.294
O 9.515 6.453 12.107
O 6.994 9.520 14.589
O 5.231 5.816 4.088
O 1.174 3.807 8.348
O 1.584 1.378 1.422
O 4.196 8.508 6.009
O 8.868 6.721 6.535
O 8.487 3.974 8.941
O 6.871 8.785 6.632
O 6.375 3.787 7.745
O 2.998 7.322 12.701
O 1.941 9.777 10.738
O 4.568 5.069 6.410
O 3.388 6.984 7.714
O 7.375 1.175 0.887
O 1.059 6.509 4.001
O 10.519 4.347 3.966
O 6.347 3.654 4.053
O 0.719 7.869 14.464
O 5.177 11.343 13.371
O 5.343 7.146 12.020
O 2.088 8.988 7.167
O 9.855 5.094 1.644
O 3.580 3.442 1.519
O 6.007 7.893 9.698
O 8.151 8.045 4.108
O 9.487 6.586 15.799
O 7.711 10.844 12.162
O 10.464 4.418 10.791
O 4.228 9.308 12.055
O 7.187 5.978 8.394
O 9.483 1.655 2.045
O 2.423 4.917 12.000
O 0.056 8.615 12.142
O 8.286 8.439 11.461
O 7.229 5.985 13.424
H 9.397 3.607 4.856
H 4.856 5.362 5.448
H 4.138 5.842 6.920
H 0.432 8.162 13.502
H 3.752 5.770 15.978
H 9.769 4.259 10.096
H 1.931 4.539 12.791
H 6.691 9.653 7.109
H 4.845 10.554 12.820
H 9.691 6.155 6.408
H 10.143 4.801 2.606
H 5.730 2.408 3.288
H 4.544 4.396 9.958
H 1.404 0.510 0.945
H 5.318 4.612 6.934
H 10.544 7.411 14.988
H 5.719 7.600 10.660
H 6.093 1.460 2.042
H 3.884 3.309 8.999
H 6.171 8.955 14.462
H 9.510 8.471 8.471
H 0.744 1.597 1.904
H 3.357 1.739 4.737
H 2.674 5.880 12.222
H 8.078 6.224 12.939
H 0.806 8.703 6.012
H 6.352 5.671 0.417
H 9.425 4.321 1.134
H 10.132 5.208 11.342
H 0.883 6.807 9.700
H 9.171 12.453 15.163
H 2.326 6.592 8.860
H 7.784 3.425 4.885
H 0.442 7.754 4.766
H 1.178 9.355 11.252
H 6.823 7.192 0.130
H 2.961 3.793 0.806
H 7.901 7.082 3.886
H 9.831 11.365 14.204
H 6.465 6.407 12.910
H 1.064 4.492 7.637
H 4.404 4.008 1.646
H 2.613 3.081 4.168
H 8.248 6.370 7.248
H 7.961 9.882 11.940
H 0.031 5.551 1.120
H 6.031 8.566 6.150
H 2.791 9.538 11.223
H 1.150 8.641 14.974
H 7.614 9.170 15.302
H 7.218 11.223 11.371
H 5.257 8.351 9.174
H 1.535 2.971 7.924
H 2.497 6.738 3.169
H 4.109 6.556 3.198
H 4.482 11.502 14.066
H 6.437 7.120 9.188
H 8.644 8.424 3.317
H 4.223 7.291 15.691
H 9.040 9.991 8.184
Cr 7.094 11.413 13.971
Cr 1.806 4.349 10.191
Cr 8.768 8.613 5.917
Cr 3.481 1.549 2.137
S 4.311 7.975 12.750
S 0.977 5.176 4.696
S 8.749 1.738 0.757
S 7.113 4.538 8.811
S 6.264 4.987 3.358
S 9.598 7.787 11.412
S 1.826 11.224 15.351
S 3.462 8.424 7.297

Entry 5:
10
Lattice="4.011 0.000 3.606 4.011 0.000 -3.606 0.000 4.011 -3.606" Properties=species:S:1:pos:R:3 comment="SrCrHO2, optimized geometry, DFT PBE with a Hubbard U" delta_e_f_ev_per_atom=-2.0555 m_tot_mub_per_fu=0.0 vol_a3_per_atom=11.6 pbc="T T T"
Cr 4.011 0.000 0.000
Cr 4.011 4.011 0.000
O 4.011 2.005 -3.606
O 2.005 0.000 0.000
O 4.011 2.005 0.000
O 6.016 0.000 0.000
Sr 6.016 2.005 -1.803
Sr 2.005 2.005 -1.803
H 4.011 0.000 -1.803
H 4.011 4.011 -1.803

Entry 6:
44
Lattice="0.000 -7.254 0.000 -10.126 0.000 0.488 0.074 0.000 -11.620" Properties=species:S:1:pos:R:3 comment="UCrH3O6, optimized geometry, DFT PBE with a Hubbard U" delta_e_f_ev_per_atom=-1.1858 m_tot_mub_per_fu=3.0 vol_a3_per_atom=19.4 pbc="T T T"
H -2.153 -5.713 -1.956
H -5.111 -5.631 -5.665
H -2.935 -5.567 -7.490
H -2.793 -1.209 -7.542
H -2.292 -1.366 -2.006
H -4.940 -2.004 -5.467
H -1.202 -3.514 -0.716
H -7.898 -2.087 -9.176
H -8.850 -7.141 -10.415
H -7.117 -1.940 -3.642
H -7.259 -4.836 -3.590
H -7.759 -4.993 -9.126
U -0.644 -7.197 -3.666
U -6.644 -3.366 -1.360
U -3.408 -6.993 -9.772
U -9.408 -3.570 -7.465
Cr -8.976 -7.219 -6.485
Cr -4.439 -3.363 -9.867
Cr -1.076 -3.593 -4.647
Cr -5.613 -6.990 -1.264
O -9.690 -1.331 -7.200
O -1.656 -6.987 -10.175
O -5.115 -6.985 -2.778
O -9.237 -7.227 -4.809
O -2.053 -7.161 -4.788
O -3.501 -1.978 -10.138
O -6.538 -1.130 -1.001
O -0.814 -3.601 -6.323
O -4.997 -3.371 -2.091
O -9.586 -7.223 -1.827
O -5.055 -6.998 -9.040
O -7.411 -0.005 -6.762
O -3.514 -4.757 -10.131
O -6.551 -5.605 -0.994
O -5.801 -3.363 -10.880
O -4.251 -6.990 -0.251
O -7.998 -3.534 -6.343
O -4.936 -3.358 -8.354
O -9.618 -5.810 -7.176
O -0.362 -4.958 -3.931
O -0.466 -3.596 -9.305
O -8.396 -3.360 -0.956
O -0.434 -2.183 -3.956
O -2.640 -3.632 -4.370

Entry 7:
10
Lattice="-0.015 4.944 2.751 2.768 4.442 -2.149 -2.889 4.392 -2.091" Properties=species:S:1:pos:R:3 comment="KLaHfCrO6, optimized geometry, DFT PBE with a Hubbard U" delta_e_f_ev_per_atom=-3.0151 m_tot_mub_per_fu=2.0 vol_a3_per_atom=12.8 pbc="T T T"
O 1.381 8.172 -0.053
O 1.389 5.631 -1.467
O -1.518 5.605 -1.437
O -1.526 8.146 -0.023
O -0.041 5.889 1.052
O -0.096 7.888 -2.542
Hf -0.069 6.889 -0.745
Cr 0.000 0.000 0.000
K -0.103 10.333 -1.117
La -0.034 3.444 -0.372

Entry 8:
32
Lattice="-6.950 3.671 -3.780 -5.087 -6.349 3.188 -0.693 2.332 3.539" Properties=species:S:1:pos:R:3 comment="HfMg14CrO16, optimized geometry, DFT PBE with a Hubbard U" delta_e_f_ev_per_atom=-2.8655 m_tot_mub_per_fu=4.8 vol_a3_per_atom=10.2 pbc="T T T"
Mg -5.084 1.426 0.670
Mg -2.104 2.095 0.813
Mg -3.475 1.835 -1.890
Mg -1.550 -0.335 2.523
Mg -5.539 3.908 -1.055
Mg -6.394 1.187 -2.034
Mg -9.015 -2.084 -0.392
Mg -6.019 -1.339 -0.296
Mg -7.646 -1.772 2.277
Mg -4.231 -3.681 4.204
Mg -3.022 -0.594 -0.200
Mg -5.643 -3.865 1.442
Mg -8.047 0.715 0.559
Mg -4.684 -1.061 2.388
O -6.365 -0.173 1.474
O -0.346 1.166 1.769
O -5.080 2.683 -2.763
O -4.771 0.218 -1.078
O -1.870 0.988 -1.017
O -3.822 3.001 -0.121
O -1.352 -1.687 0.847
O -7.726 -0.437 -1.225
O -6.843 2.334 -0.272
O -2.890 -2.008 3.364
O -7.267 -2.897 0.486
O -3.348 0.488 1.628
O -5.887 -2.680 3.219
O -9.382 -0.834 1.319
O -3.735 -4.662 2.341
O -4.311 -2.241 0.633
Cr 0.000 0.000 0.000
Hf -2.544 -3.175 1.594